Density functional theory data (PBE-GGA) for a relaxed GeSe2 crystal.

Space-group type: Fdd2, No. 43
Total energy after the MP2020 corrections (eV per atom): -4.44
Crystal system: orthorhombic

```
18
Lattice="0.000 12.016 3.971 6.165 0.000 3.971 6.165 12.016 0.000" Properties=species:S:1:pos:R:3 pbc="T T T"
Ge 0.000 0.000 0.000
Ge 7.675 3.359 4.020
Ge 3.082 6.008 1.985
Ge 7.736 9.367 6.005
Ge 4.654 20.673 4.020
Ge 4.593 14.665 6.005
Se 4.177 0.382 2.665
Se 5.784 10.183 1.523
Se 8.485 9.155 3.726
Se 7.260 5.626 4.650
Se 6.545 13.849 1.523
Se 3.463 4.175 3.508
Se 2.702 7.841 3.508
Se 5.402 8.869 5.712
Se 1.987 11.634 2.665
Se 3.844 14.877 3.726
Se 6.927 15.163 5.712
Se 5.069 18.406 4.650
```


Density functional theory data (PBE-GGA) for a relaxed Rb3TlI6 crystal.

Space-group type: Fm-3m, No. 225
Total energy after the MP2020 corrections (eV per atom): -2.59
Crystal system: cubic

```
10
Lattice="0.000 6.481 6.481 6.481 0.000 6.481 6.481 6.481 0.000" Properties=species:S:1:pos:R:3 pbc="T T T"
Rb 0.000 0.000 0.000
Rb 3.240 3.240 3.240
Rb 9.721 9.721 9.721
Tl 6.481 6.481 6.481
I 6.481 6.481 3.467
I 6.481 3.467 6.481
I 9.494 6.481 6.481
I 3.467 6.481 6.481
I 6.481 9.494 6.481
I 6.481 6.481 9.494
```


Density functional theory data (PBE-GGA) for a relaxed Mg14MnW crystal.

Space-group type: Amm2, No. 38
Excess energy over the best structure of this formula in the dataset (meV per atom): 0.0
Crystal system: orthorhombic

```
16
Lattice="9.983 0.000 0.000 0.000 3.073 5.471 0.000 -3.073 5.471" Properties=species:S:1:pos:R:3 pbc="T T T"
Mg 0.000 0.000 0.000
Mg 0.000 -1.536 2.753
Mg 0.000 0.000 5.466
Mg 0.000 1.536 2.753
Mg 2.550 0.000 7.238
Mg 2.575 0.000 1.755
Mg 2.643 -1.558 4.599
Mg 2.643 1.558 4.599
Mg 4.991 -1.534 2.752
Mg 4.991 1.534 2.752
Mg 7.340 -1.558 4.599
Mg 7.340 1.558 4.599
Mg 7.408 0.000 1.755
Mg 7.433 0.000 7.238
Mn 4.991 0.000 5.488
W 4.991 0.000 0.068
```


Density functional theory data (PBE-GGA) for a relaxed Rb4PbO4 crystal.

Space-group type: P2_1/c, No. 14
Total energy after the MP2020 corrections (eV per atom): -4.56
Crystal system: monoclinic

```
36
Lattice="11.511 0.000 0.000 0.000 7.215 0.000 -4.134 0.000 10.759" Properties=species:S:1:pos:R:3 pbc="T T T"
Rb -0.015 0.601 2.153
Rb -2.082 3.006 7.532
Rb 1.479 4.399 0.884
Rb -0.588 6.423 6.263
Rb 0.590 4.810 9.616
Rb 2.656 6.013 4.237
Rb 1.610 1.318 8.495
Rb 3.677 2.289 3.116
Rb 3.700 4.926 7.643
Rb 5.767 5.897 2.264
Rb 4.721 1.202 6.522
Rb 6.788 2.405 1.143
Rb 7.965 0.792 4.495
Rb 5.898 2.816 9.875
Rb 9.459 4.209 3.226
Rb 7.392 6.614 8.606
Pb -1.310 0.884 10.654
Pb 0.757 2.723 5.274
Pb 6.621 4.492 5.484
Pb 8.687 6.331 0.105
O -3.210 1.734 10.472
O -1.144 1.874 5.093
O 1.129 3.766 3.505
O -0.938 7.057 8.885
O 0.930 3.915 7.020
O 2.997 6.907 1.641
O 2.131 1.161 5.515
O 4.198 2.447 0.136
O 3.179 4.768 10.623
O 5.246 6.054 5.244
O 4.380 0.308 9.118
O 6.447 3.300 3.739
O 8.315 0.158 1.874
O 6.248 3.449 7.254
O 8.521 5.341 5.666
O 10.588 5.481 0.286
```


| no. | E_form (eV per formula unit) |
| --- | --- |
| 1 | -1.717 |
| 2 | -11.458 |
| 3 | 2.947 |
| 4 | -13.651 |